No. 1
Here is crystalline La5S7 at its relaxed geometry from the Materials Project. Energies are from PBE.

ΔE_f   -2.230 eV per atom
Volume   27.31 A^3/atom
Space group   No. 8

abc: 10.9955 10.9955 5.4215
angles: 89.87 89.87 89.92
Last column: nearest neighbours and their distance in Å.
Fractional coordinates of all 24 atoms:
La (0.3473, 0.6388, 0.5442)  7 S 2.96-3.20
La (0.9957, 0.5021, 0.8299)  6 S 2.84-2.98
La (0.1626, 0.1626, 0.5443)  4 S 2.75-3.00
La (0.8323, 0.8323, 0.5427)  8 S 2.87-3.18
La (0.1670, 0.8190, 0.0470)  6 S 2.77-2.86
La (0.5021, 0.9957, 0.8299)  6 S 2.84-2.98
La (0.8190, 0.1670, 0.0470)  6 S 2.77-2.86
La (0.6601, 0.6601, 0.0379)  8 S 2.93-3.17
La (0.6388, 0.3473, 0.5442)  7 S 2.96-3.20
La (0.3291, 0.3291, 0.0331)  8 S 2.87-3.17
S (0.2050, 0.4090, 0.5354)  3 La 2.75-2.98
S (0.1189, 0.7950, 0.5472)  3 La 2.77-3.04
S (0.7720, 0.4176, 0.0377)  3 La 2.80-2.93, 1 S 3.07
S (0.9235, 0.7271, 0.0406)  5 La 2.84-3.12, 1 S 3.05
S (0.2603, 0.0575, 0.0149)  4 La 2.82-3.08, 1 S 3.15
S (0.4176, 0.7720, 0.0377)  3 La 2.80-2.93, 1 S 3.07
S (0.7785, 0.5769, 0.5439)  5 La 2.87-3.17, 2 S 3.13-3.20
S (0.2267, 0.5690, 0.0362)  5 La 2.83-3.16, 1 S 3.07
S (0.5690, 0.2267, 0.0362)  5 La 2.83-3.16, 1 S 3.07
S (0.7950, 0.1189, 0.5472)  3 La 2.77-3.04
S (0.7271, 0.9235, 0.0406)  5 La 2.84-3.12, 1 S 3.05
S (0.4090, 0.2050, 0.5354)  3 La 2.75-2.98
S (0.5769, 0.7785, 0.5439)  5 La 2.87-3.17, 2 S 3.13-3.20
S (0.0575, 0.2603, 0.0149)  4 La 2.82-3.08, 1 S 3.15



No. 2
Here is crystalline LaS at its relaxed geometry from the Materials Project. Energies are from PBE.

ΔE_f   -2.415 eV per atom
Volume   25.35 A^3/atom
Space group   No. 225
Distance to the lowest polymorph of the same formula   0 meV per atom

abc: 4.1546 4.1546 4.1546
angles: 60.00 60.00 60.00
Last column: nearest neighbours and their distance in Å.
Fractional coordinates of all 2 atoms:
S (0.5000, 0.5000, 0.5000)  6 La 2.94
La (0.0000, 0.0000, 0.0000)  6 S 2.94



No. 3
Here is crystalline La3S4 at its relaxed geometry from the Materials Project. Energies are from PBE.

ΔE_f   -2.449 eV per atom
Volume   23.85 A^3/atom
Space group   No. 220

abc: 7.5693 7.5693 7.5693
angles: 109.47 109.47 109.47
Last column: nearest neighbours and their distance in Å.
Fractional coordinates of all 14 atoms:
S (0.0000, 0.3499, 0.5000)  6 La 2.95-3.11
S (0.0000, 0.8499, 0.5000)  6 La 2.95-3.11
S (0.3499, 0.5000, 0.0000)  6 La 2.95-3.11
S (0.8499, 0.5000, 0.0000)  6 La 2.95-3.11
S (0.5000, 0.0000, 0.8499)  6 La 2.95-3.11
S (0.1501, 0.1501, 0.1501)  6 La 2.95-3.11
S (0.5000, 0.0000, 0.3499)  6 La 2.95-3.11
S (0.6501, 0.6501, 0.6501)  6 La 2.95-3.11
La (0.7500, 0.8750, 0.1250)  8 S 2.95-3.11
La (0.2500, 0.6250, 0.3750)  8 S 2.95-3.11
La (0.6250, 0.3750, 0.2500)  8 S 2.95-3.11
La (0.3750, 0.2500, 0.6250)  8 S 2.95-3.11
La (0.8750, 0.1250, 0.7500)  8 S 2.95-3.11
La (0.1250, 0.7500, 0.8750)  8 S 2.95-3.11



No. 4
Here is crystalline La12Si4SnS28 at its relaxed geometry from the Materials Project. Energies are from PBE.

ΔE_f   -2.014 eV per atom
Volume   24.26 A^3/atom
Space group   No. 1

abc: 10.4125 11.6303 11.9220
angles: 119.20 115.88 89.99
Last column: nearest neighbours and their distance in Å.
Fractional coordinates of all 45 atoms:
S (0.4721, 0.7825, 0.5871)  1 Si 2.15
S (0.9123, 0.7006, 0.1694)  4 La 2.85-3.03
S (0.2433, 0.1663, 0.0809)  1 Sn 2.61
S (0.3334, 0.5692, 0.6671)  1 Si 2.11
S (0.7432, 0.8264, 0.9133)  4 La 2.84-3.05
S (0.5259, 0.9435, 0.4101)  1 Si 2.15
S (0.1704, 0.9983, 0.2569)  4 La 2.84-3.05
S (0.7569, 0.3159, 0.9156)  1 Sn 2.61
S (0.1183, 0.7480, 0.5202)  1 Si 2.15
S (0.4061, 0.9303, 0.8843)  1 Si 2.16
S (0.1146, 0.2527, 0.5278)  1 Si 2.15
S (0.9190, 0.2072, 0.1625)  1 Sn 2.61
S (0.4092, 0.4300, 0.8832)  1 Si 2.14
S (0.8305, 0.4876, 0.7428)  4 La 2.86-3.02
S (0.0845, 0.2788, 0.8415)  1 Sn 2.60
S (0.6683, 0.6551, 0.3369)  1 Si 2.12
S (0.8842, 0.4762, 0.4742)  1 Si 2.15
S (0.2570, 0.6598, 0.0878)  4 La 2.85-3.03
S (0.1586, 0.4795, 0.2430)  1 Sn 2.60
S (0.6650, 0.1514, 0.3297)  1 Si 2.11
S (0.8835, 0.9773, 0.4765)  1 Si 2.15
S (0.5233, 0.4430, 0.4069)  1 Si 2.15
S (0.8377, 0.0041, 0.7566)  1 Sn 2.61
S (0.5913, 0.7982, 0.1162)  1 Si 2.14
S (0.5918, 0.2963, 0.1161)  1 Si 2.16
S (0.3332, 0.0687, 0.6663)  1 Si 2.12
S (0.4798, 0.2866, 0.5978)  1 Si 2.16
S (0.0864, 0.7845, 0.8296)  4 La 2.84-3.05
La (0.8732, 0.5026, 0.2398)  8 S 2.89-3.19
La (0.8816, 0.9805, 0.2276)  7 S 2.84-3.18
La (0.3667, 0.4460, 0.1265)  8 S 2.89-3.19
La (0.7724, 0.6941, 0.6547)  7 S 2.84-3.18
La (0.7602, 0.1988, 0.6325)  8 S 2.90-3.19
La (0.3461, 0.9259, 0.1186)  7 S 2.84-3.16
La (0.6533, 0.5720, 0.8813)  7 S 2.86-3.18
La (0.2413, 0.3006, 0.3669)  8 S 2.87-3.10
La (0.2272, 0.8045, 0.3462)  7 S 2.85-3.18
La (0.1245, 0.9964, 0.7581)  8 S 2.87-3.10
La (0.6340, 0.0544, 0.8742)  8 S 2.85-3.10
La (0.1196, 0.5179, 0.7732)  7 S 2.85-3.18
Si (0.6670, 0.3353, 0.3344)  4 S 2.11-2.16
Si (0.3321, 0.2509, 0.6668)  4 S 2.12-2.16
Si (0.6664, 0.8353, 0.3323)  4 S 2.12-2.15
Si (0.3345, 0.7503, 0.6666)  4 S 2.11-2.16
Sn (0.0001, 0.2416, 0.0000)  6 S 2.60-2.61



No. 5
Here is crystalline La2SmS4 at its relaxed geometry from the Materials Project. Energies are from PBE.

ΔE_f   -2.396 eV per atom
Volume   23.22 A^3/atom
Space group   No. 122

abc: 7.5023 7.5023 7.5023
angles: 109.42 109.42 109.58
Last column: nearest neighbours and their distance in Å.
Fractional coordinates of all 14 atoms:
S (0.8697, 0.6201, 0.8947)  2 Sm 2.89-3.06, 4 La 2.90-3.15, 1 S 3.24
S (0.7254, 0.9750, 0.1053)  2 Sm 2.89-3.06, 4 La 2.90-3.15, 1 S 3.24
S (0.8701, 0.6197, 0.3947)  2 Sm 2.89-3.06, 4 La 2.90-3.15, 1 S 3.24
S (0.5246, 0.1299, 0.7496)  2 Sm 2.89-3.06, 4 La 2.90-3.15, 1 S 3.24
S (0.3803, 0.7750, 0.2504)  2 Sm 2.89-3.06, 4 La 2.90-3.15, 1 S 3.24
S (0.0250, 0.1303, 0.7504)  2 Sm 2.89-3.06, 4 La 2.90-3.15, 1 S 3.24
S (0.3799, 0.2746, 0.2496)  2 Sm 2.89-3.06, 4 La 2.90-3.15, 1 S 3.24
S (0.2250, 0.4754, 0.6053)  2 Sm 2.89-3.06, 4 La 2.90-3.15, 1 S 3.24
La (0.2552, 0.8750, 0.8802)  8 S 2.90-3.15
La (0.1250, 0.0052, 0.3802)  8 S 2.90-3.15
La (0.9948, 0.3750, 0.1198)  8 S 2.90-3.15
La (0.6250, 0.7448, 0.6198)  8 S 2.90-3.15
Sm (0.5000, 0.5000, 0.0000)  8 S 2.89-3.06
Sm (0.7500, 0.2500, 0.5000)  8 S 2.89-3.06



No. 6
Here is crystalline LaSmS2 at its relaxed geometry from the Materials Project. Energies are from PBE.

ΔE_f   -2.348 eV per atom
Volume   24.06 A^3/atom
Space group   No. 166

abc: 7.1288 7.1288 7.1288
angles: 33.11 33.11 33.11
Last column: nearest neighbours and their distance in Å.
Fractional coordinates of all 4 atoms:
La (0.0000, 0.0000, 0.0000)  6 S 2.93
S (0.7536, 0.7536, 0.7536)  3 Sm 2.85, 3 La 2.93
S (0.2464, 0.2464, 0.2464)  3 Sm 2.85, 3 La 2.93
Sm (0.5000, 0.5000, 0.5000)  6 S 2.85



No. 7
Here is crystalline La5SmS8 at its relaxed geometry from the Materials Project. Energies are from PBE.

ΔE_f   -2.421 eV per atom
Volume   23.53 A^3/atom
Space group   No. 82

abc: 7.5354 7.5354 7.5354
angles: 109.48 109.48 109.45
Last column: nearest neighbours and their distance in Å.
Fractional coordinates of all 14 atoms:
S (0.2723, 0.0241, 0.3948)  1 Sm 2.90, 5 La 2.93-3.14
S (0.6277, 0.8762, 0.0980)  5 La 2.93-3.10, 1 Sm 3.06, 1 S 3.28
S (0.9759, 0.3708, 0.2482)  1 Sm 2.90, 5 La 2.93-3.14
S (0.4703, 0.3723, 0.2485)  5 La 2.93-3.10, 1 Sm 3.06, 1 S 3.28
S (0.1238, 0.2218, 0.7515)  5 La 2.93-3.10, 1 Sm 3.06, 1 S 3.28
S (0.7782, 0.5297, 0.9020)  5 La 2.93-3.10, 1 Sm 3.06, 1 S 3.28
S (0.6292, 0.8774, 0.6052)  1 Sm 2.90, 5 La 2.93-3.14
S (0.1226, 0.7277, 0.7518)  1 Sm 2.90, 5 La 2.93-3.14
La (0.3753, 0.4977, 0.6238)  8 S 2.93-3.14
La (0.8740, 0.7515, 0.3762)  8 S 2.93-3.14
La (0.2485, 0.6247, 0.1224)  8 S 2.93-3.14
La (0.5023, 0.1260, 0.8776)  8 S 2.93-3.14
La (0.7500, 0.2500, 0.5000)  8 S 2.95-3.10
Sm (0.0000, 0.0000, 0.0000)  8 S 2.90-3.06



No. 8
Here is crystalline SrLa2S4 at its relaxed geometry from the Materials Project. Energies are from PBE.

ΔE_f   -2.469 eV per atom
Volume   24.43 A^3/atom
Space group   No. 122

abc: 7.6311 7.6311 7.6311
angles: 109.38 109.38 109.64
Last column: nearest neighbours and their distance in Å.
Fractional coordinates of all 14 atoms:
S (0.2315, 0.1332, 0.7510)  4 La 2.92-3.14, 2 Sr 3.00-3.17
S (0.5195, 0.7685, 0.9018)  4 La 2.92-3.14, 2 Sr 3.00-3.17
S (0.7305, 0.1322, 0.7490)  4 La 2.92-3.14, 2 Sr 3.00-3.17
S (0.8668, 0.6178, 0.0982)  4 La 2.92-3.14, 2 Sr 3.00-3.17
S (0.3822, 0.4805, 0.2490)  4 La 2.92-3.14, 2 Sr 3.00-3.17
S (0.0185, 0.2695, 0.4018)  4 La 2.92-3.14, 2 Sr 3.00-3.17
S (0.8678, 0.6168, 0.5982)  4 La 2.92-3.14, 2 Sr 3.00-3.17
S (0.3832, 0.9815, 0.2510)  4 La 2.92-3.14, 2 Sr 3.00-3.17
Sr (0.0000, 0.0000, 0.0000)  8 S 3.00-3.17
Sr (0.2500, 0.7500, 0.5000)  8 S 3.00-3.17
La (0.4965, 0.3750, 0.6215)  8 S 2.92-3.14
La (0.1250, 0.5035, 0.8785)  8 S 2.92-3.14
La (0.7535, 0.8750, 0.3785)  8 S 2.92-3.14
La (0.6250, 0.2465, 0.1215)  8 S 2.92-3.14



No. 9
Here is crystalline LaThUS5 at its relaxed geometry from the Materials Project. Energies are from PBE.

ΔE_f   -2.178 eV per atom
Volume   22.87 A^3/atom
Space group   No. 19

abc: 7.4968 8.1124 12.0348
angles: 90.00 90.00 90.00
Last column: nearest neighbours and their distance in Å.
Fractional coordinates of all 32 atoms:
S (0.1703, 0.0099, 0.0627)  1 U 2.83, 2 Th 2.93-3.01, 2 La 3.03-3.11
S (0.3027, 0.5094, 0.5349)  1 U 2.83, 2 Th 2.87-2.90, 2 La 2.97-3.00
S (0.3358, 0.2096, 0.8501)  2 U 2.70-2.76, 2 Th 2.86-2.91
S (0.6703, 0.4901, 0.9373)  1 U 2.83, 2 Th 2.93-3.01, 2 La 3.03-3.11
S (0.1973, 0.4906, 0.0349)  1 U 2.83, 2 Th 2.87-2.90, 2 La 2.97-3.00
S (0.9588, 0.9999, 0.7494)  1 U 2.92, 2 Th 2.95-2.97, 2 La 2.96-2.99, 1 S 3.25
S (0.4588, 0.5001, 0.2506)  1 U 2.92, 2 Th 2.95-2.97, 2 La 2.96-2.99, 1 S 3.25
S (0.8358, 0.2904, 0.1499)  2 U 2.70-2.76, 2 Th 2.86-2.91
S (0.6973, 0.0094, 0.9651)  1 U 2.83, 2 Th 2.87-2.90, 2 La 2.97-3.00
S (0.8398, 0.7101, 0.1546)  2 U 2.68-2.71, 2 La 2.92
S (0.3398, 0.7899, 0.8454)  2 U 2.68-2.71, 2 La 2.92
S (0.6642, 0.7096, 0.6499)  2 U 2.70-2.76, 2 Th 2.86-2.91
S (0.3297, 0.9901, 0.5627)  1 U 2.83, 2 Th 2.93-3.01, 2 La 3.03-3.11
S (0.1602, 0.2101, 0.3454)  2 U 2.68-2.71, 2 La 2.92
S (0.6602, 0.2899, 0.6546)  2 U 2.68-2.71, 2 La 2.92
S (0.5412, 0.0001, 0.2494)  1 U 2.92, 2 Th 2.95-2.97, 2 La 2.96-2.99, 1 S 3.25
S (0.1642, 0.7904, 0.3501)  2 U 2.70-2.76, 2 Th 2.86-2.91
S (0.8027, 0.9906, 0.4651)  1 U 2.83, 2 Th 2.87-2.90, 2 La 2.97-3.00
S (0.8297, 0.5099, 0.4373)  1 U 2.83, 2 Th 2.93-3.01, 2 La 3.03-3.11
S (0.0412, 0.4999, 0.7506)  1 U 2.92, 2 Th 2.95-2.97, 2 La 2.96-2.99, 1 S 3.25
La (0.4759, 0.7502, 0.0712)  8 S 2.92-3.11
La (0.5241, 0.2502, 0.4288)  8 S 2.92-3.11
La (0.0241, 0.2498, 0.5712)  8 S 2.92-3.11
La (0.9759, 0.7498, 0.9288)  8 S 2.92-3.11
Th (0.0235, 0.7500, 0.5734)  8 S 2.86-3.01
Th (0.5235, 0.7500, 0.4266)  8 S 2.86-3.01
Th (0.9765, 0.2500, 0.9266)  8 S 2.86-3.01
Th (0.4765, 0.2500, 0.0734)  8 S 2.86-3.01
U (0.9299, 0.0006, 0.2439)  7 S 2.68-2.92
U (0.5701, 0.9994, 0.7439)  7 S 2.68-2.92
U (0.0701, 0.5006, 0.2561)  7 S 2.68-2.92
U (0.4299, 0.4994, 0.7561)  7 S 2.68-2.92



Please write out number 5 again, unchanged.
Here is crystalline La2SmS4 at its relaxed geometry from the Materials Project. Energies are from PBE.

ΔE_f   -2.396 eV per atom
Volume   23.22 A^3/atom
Space group   No. 122

abc: 7.5023 7.5023 7.5023
angles: 109.42 109.42 109.58
Last column: nearest neighbours and their distance in Å.
Fractional coordinates of all 14 atoms:
S (0.8697, 0.6201, 0.8947)  2 Sm 2.89-3.06, 4 La 2.90-3.15, 1 S 3.24
S (0.7254, 0.9750, 0.1053)  2 Sm 2.89-3.06, 4 La 2.90-3.15, 1 S 3.24
S (0.8701, 0.6197, 0.3947)  2 Sm 2.89-3.06, 4 La 2.90-3.15, 1 S 3.24
S (0.5246, 0.1299, 0.7496)  2 Sm 2.89-3.06, 4 La 2.90-3.15, 1 S 3.24
S (0.3803, 0.7750, 0.2504)  2 Sm 2.89-3.06, 4 La 2.90-3.15, 1 S 3.24
S (0.0250, 0.1303, 0.7504)  2 Sm 2.89-3.06, 4 La 2.90-3.15, 1 S 3.24
S (0.3799, 0.2746, 0.2496)  2 Sm 2.89-3.06, 4 La 2.90-3.15, 1 S 3.24
S (0.2250, 0.4754, 0.6053)  2 Sm 2.89-3.06, 4 La 2.90-3.15, 1 S 3.24
La (0.2552, 0.8750, 0.8802)  8 S 2.90-3.15
La (0.1250, 0.0052, 0.3802)  8 S 2.90-3.15
La (0.9948, 0.3750, 0.1198)  8 S 2.90-3.15
La (0.6250, 0.7448, 0.6198)  8 S 2.90-3.15
Sm (0.5000, 0.5000, 0.0000)  8 S 2.89-3.06
Sm (0.7500, 0.2500, 0.5000)  8 S 2.89-3.06



- Among the records above, which one has the highest ΔE_f?
  La12Si4SnS28



- Which formula does entry 9 have?
  LaThUS5



- What is the formula in the seventh record?
  La5SmS8